1.
A plane-wave DFT calculation with PBE was carried out for crystalline KP15 at its relaxed geometry.

Cell and atoms, written as CIF:
```
data_KP15
_space_group_name_H-M_alt 'P 1'
_space_group_IT_number 1
_cell_length_a 7.474
_cell_length_b 9.411
_cell_length_c 12.501
_cell_angle_alpha 89.36
_cell_angle_beta 100.94
_cell_angle_gamma 110.64
loop_
_space_group_symop_operation_xyz
'x,y,z'
loop_
_atom_site_label
_atom_site_type_symbol
_atom_site_fract_x
_atom_site_fract_y
_atom_site_fract_z
P1 P 0.704 0.537 0.632
P2 P 0.477 0.089 0.284
P3 P 0.203 0.589 0.718
P4 P 0.037 0.894 0.657
P5 P 0.312 0.983 0.593
P6 P 0.883 0.236 0.695
P7 P 0.797 0.411 0.282
P8 P 0.757 0.503 0.811
P9 P 0.334 0.691 0.431
P10 P 0.243 0.497 0.189
P11 P 0.659 0.207 0.165
P12 P 0.606 0.772 0.367
P13 P 0.294 0.878 0.185
P14 P 0.296 0.463 0.368
P15 P 0.125 0.897 0.832
P16 P 0.688 0.017 0.407
P17 P 0.520 0.265 0.811
P18 P 0.394 0.228 0.633
P19 P 0.523 0.911 0.716
P20 P 0.875 0.103 0.168
P21 P 0.014 0.432 0.816
P22 P 0.666 0.309 0.569
P23 P 0.992 0.660 0.594
P24 P 0.963 0.106 0.343
P25 P 0.480 0.735 0.189
P26 P 0.986 0.568 0.184
P27 P 0.008 0.340 0.406
P28 P 0.706 0.122 0.815
P29 P 0.341 0.793 0.835
P30 P 0.117 0.764 0.305
K1 K 0.213 0.209 0.001
K2 K 0.787 0.791 0.999
```


2.
A plane-wave DFT calculation with PBE was carried out for crystalline KPPbS4 at its relaxed geometry.

Cell and atoms, written as CIF:
```
data_KPPbS4
_space_group_name_H-M_alt 'P 1'
_space_group_IT_number 1
_cell_length_a 6.568
_cell_length_b 6.708
_cell_length_c 17.114
_cell_angle_alpha 90.00
_cell_angle_beta 90.00
_cell_angle_gamma 90.00
loop_
_space_group_symop_operation_xyz
'x,y,z'
loop_
_atom_site_label
_atom_site_type_symbol
_atom_site_fract_x
_atom_site_fract_y
_atom_site_fract_z
S1 S 0.653 0.750 0.481
S2 S 0.458 0.750 0.664
S3 S 0.847 0.750 0.981
S4 S 0.542 0.250 0.336
S5 S 0.107 0.005 0.377
S6 S 0.393 0.495 0.877
S7 S 0.958 0.250 0.836
S8 S 0.153 0.250 0.019
S9 S 0.893 0.995 0.623
S10 S 0.893 0.505 0.623
S11 S 0.347 0.250 0.519
S12 S 0.393 0.005 0.877
S13 S 0.607 0.505 0.123
S14 S 0.107 0.495 0.377
S15 S 0.042 0.750 0.164
S16 S 0.607 0.995 0.123
K1 K 0.999 0.250 0.209
K2 K 0.499 0.750 0.291
K3 K 0.501 0.250 0.709
K4 K 0.001 0.750 0.791
Pb1 Pb 0.786 0.250 0.480
Pb2 Pb 0.714 0.250 0.980
Pb3 Pb 0.286 0.750 0.020
Pb4 Pb 0.214 0.750 0.520
P1 P 0.218 0.250 0.901
P2 P 0.782 0.750 0.099
P3 P 0.718 0.750 0.599
P4 P 0.282 0.250 0.401
```


3.
A plane-wave DFT calculation with PBE was carried out for crystalline K2P2Pd at its relaxed geometry.

Cell and atoms, written as CIF:
```
data_K2P2Pd
_space_group_name_H-M_alt 'P 1'
_space_group_IT_number 1
_cell_length_a 5.975
_cell_length_b 6.400
_cell_length_c 7.822
_cell_angle_alpha 65.85
_cell_angle_beta 90.00
_cell_angle_gamma 90.00
loop_
_space_group_symop_operation_xyz
'x,y,z'
loop_
_atom_site_label
_atom_site_type_symbol
_atom_site_fract_x
_atom_site_fract_y
_atom_site_fract_z
P1 P 0.250 0.281 0.779
P2 P 0.250 0.941 0.779
P3 P 0.750 0.719 0.221
P4 P 0.750 0.059 0.221
K1 K 0.250 0.788 0.424
K2 K 0.750 0.575 0.850
K3 K 0.250 0.425 0.150
K4 K 0.750 0.212 0.576
Pd1 Pd 0.500 0.000 0.000
Pd2 Pd 0.000 0.000 0.000
```


4.
A plane-wave DFT calculation with PBE was carried out for crystalline KPPdS4 at its relaxed geometry.

Cell and atoms, written as CIF:
```
data_KPPdS4
_space_group_name_H-M_alt 'P 1'
_space_group_IT_number 1
_cell_length_a 8.761
_cell_length_b 8.761
_cell_length_c 10.740
_cell_angle_alpha 90.00
_cell_angle_beta 90.00
_cell_angle_gamma 90.00
loop_
_space_group_symop_operation_xyz
'x,y,z'
loop_
_atom_site_label
_atom_site_type_symbol
_atom_site_fract_x
_atom_site_fract_y
_atom_site_fract_z
S1 S 0.732 0.983 0.000
S2 S 0.232 0.517 0.500
S3 S 0.857 0.143 0.354
S4 S 0.143 0.857 0.354
S5 S 0.857 0.143 0.646
S6 S 0.357 0.357 0.854
S7 S 0.643 0.643 0.146
S8 S 0.483 0.768 0.500
S9 S 0.357 0.357 0.146
S10 S 0.643 0.643 0.854
S11 S 0.768 0.483 0.500
S12 S 0.268 0.017 0.000
S13 S 0.983 0.732 0.000
S14 S 0.017 0.268 0.000
S15 S 0.517 0.232 0.500
S16 S 0.143 0.857 0.646
P1 P 0.251 0.251 0.000
P2 P 0.751 0.249 0.500
P3 P 0.249 0.751 0.500
P4 P 0.749 0.749 0.000
K1 K 0.500 0.000 0.750
K2 K 0.000 0.500 0.750
K3 K 0.500 0.000 0.250
K4 K 0.000 0.500 0.250
Pd1 Pd 0.000 0.000 0.000
Pd2 Pd 0.500 0.500 0.000
Pd3 Pd 0.500 0.500 0.500
Pd4 Pd 0.000 0.000 0.500
```


The evaluated formation enthalpy at 0 K for the records listed, in turn: -0.1011; -0.9589; -0.5256; -0.9303 eV per atom.